No. 1
Material: Na3HfNbSi3O12
Method: DFT, PBE
State: relaxed

Space group: Cc (9)
Energy of formation from the pure elements in meV/atom: -3107.6
Mass density in g/cm³: 3.79
M_tot in μB/atom: 0.00

a b c (Å): 9.1430 9.1518 22.3763
angles (deg): 90.00 90.15 120.03
With the nearest neighbours (Å) after each atom.
Sites, in units of the cell vectors:
Si: 0.0017 0.7076 0.7531  4 O 1.62-1.68
Na: 0.9844 0.0190 0.9981  6 O 2.40-2.67
O: 0.6877 0.5277 0.5232  1 Si 1.67
O: 0.4975 0.8496 0.3634  1 Si 1.68
O: 0.4743 0.3095 0.0257  1 Si 1.68
O: 0.2012 0.0219 0.3103  1 Si 1.63
O: 0.9885 0.1944 0.3147  1 Si 1.62
O: 0.4975 0.6479 0.8634  1 Si 1.68
O: 0.7970 0.8184 0.1859  1 Si 1.66
O: 0.6437 0.1371 0.1396  1 Si 1.61
O: 0.1900 0.0362 0.5877  1 Si 1.65
Hf: 0.3302 0.6683 0.5218  6 O 1.99-2.14
O: 0.4748 0.3086 0.7466  1 Si 1.62
Nb: 0.3391 0.6706 0.3116  6 O 1.93-2.12
O: 0.3505 0.4905 0.3571  1 Si 1.67
O: 0.1667 0.1948 0.6921  1 Si 1.67
O: 0.5416 0.8587 0.4818  1 Si 1.61
Si: 0.6712 0.6270 0.5831  4 O 1.61-1.67
Na: 0.3294 0.0335 0.4156  5 O 2.42-2.61
Si: 0.7058 0.7110 0.2478  4 O 1.62-1.66
O: 0.5062 0.6503 0.5800  1 Si 1.63
O: 0.6312 0.4884 0.9196  1 Si 1.66
Na: 0.3037 0.9645 0.0817  5 O 2.39-2.66
O: 0.8669 0.5222 0.1448  1 Si 1.62
O: 0.1810 0.7038 0.7508  1 Si 1.66
Hf: 0.6677 0.3284 0.1884  6 O 1.98-2.16
Si: 0.0400 0.3773 0.9142  4 O 1.62-1.67
Si: 0.3392 0.3781 0.4173  4 O 1.62-1.67
Si: 0.6712 0.0442 0.0831  4 O 1.61-1.67
O: 0.0154 0.1813 0.1965  1 Si 1.68
O: 0.1900 0.1538 0.0877  1 Si 1.65
O: 0.6798 0.1587 0.7471  1 Si 1.63
O: 0.1739 0.1874 0.4146  1 Si 1.64
Na: 0.3703 0.3662 0.2490  5 O 2.41-2.61
Na: 0.6662 0.3358 0.8316  6 O 2.50-2.55
O: 0.5062 0.8559 0.0800  1 Si 1.63
Nb: 0.6690 0.3291 0.9782  6 O 1.92-2.11
O: 0.4748 0.1662 0.2466  1 Si 1.62
O: 0.8386 0.5259 0.0254  1 Si 1.67
O: 0.5078 0.3565 0.4191  1 Si 1.65
O: 0.6437 0.5066 0.6396  1 Si 1.61
Si: 0.3733 0.3308 0.0846  4 O 1.62-1.68
O: 0.5183 0.8244 0.7538  1 Si 1.65
Nb: 0.9977 0.0027 0.1451  6 O 1.94-2.10
Na: 0.9726 0.6755 0.9150  4 O 2.41-2.50
O: 0.3545 0.8573 0.5804  1 Si 1.62
O: 0.8171 0.9930 0.4144  1 Si 1.63
Si: 0.0017 0.2941 0.2531  4 O 1.62-1.68
Si: 0.9589 0.6268 0.0848  4 O 1.62-1.67
O: 0.5183 0.6939 0.2538  1 Si 1.65
Si: 0.0400 0.6628 0.4142  4 O 1.62-1.67
O: 0.8669 0.3447 0.6448  1 Si 1.62
O: 0.1810 0.4772 0.2508  1 Si 1.66
Na: 0.9844 0.9655 0.4981  6 O 2.40-2.67
O: 0.3545 0.4972 0.0804  1 Si 1.62
O: 0.0219 0.8303 0.4119  1 Si 1.62
O: 0.1516 0.4891 0.5810  1 Si 1.63
O: 0.5416 0.6829 0.9818  1 Si 1.61
O: 0.2990 0.8223 0.2543  1 Si 1.65
Hf: 0.9943 0.9976 0.8548  6 O 1.98-2.16
O: 0.6798 0.5211 0.2471  1 Si 1.63
Na: 0.9931 0.6331 0.2484  5 O 2.41-2.65
Hf: 0.6677 0.3393 0.6884  6 O 1.98-2.16
Si: 0.6254 0.6666 0.9206  4 O 1.61-1.68
O: 0.8579 0.3728 0.9199  1 Si 1.65
O: 0.1626 0.6863 0.4702  1 Si 1.62
Na: 0.3703 0.0041 0.7490  5 O 2.41-2.61
O: 0.3179 0.8490 0.9760  1 Si 1.62
O: 0.8308 0.8107 0.3032  1 Si 1.62
Si: 0.6254 0.9587 0.4206  4 O 1.61-1.68
O: 0.1307 0.6380 0.3535  1 Si 1.67
O: 0.8426 0.0291 0.0865  1 Si 1.64
Na: 0.6662 0.3304 0.3316  6 O 2.50-2.55
O: 0.2012 0.1793 0.8103  1 Si 1.63
O: 0.8453 0.3294 0.2478  1 Si 1.62
Na: 0.6640 0.9661 0.5813  6 O 2.43-2.63
O: 0.8308 0.0201 0.8032  1 Si 1.62
O: 0.2990 0.4766 0.7543  1 Si 1.65
Na: 0.9726 0.2972 0.4150  4 O 2.41-2.50
O: 0.4854 0.1329 0.6438  1 Si 1.62
Nb: 0.9977 0.9950 0.6451  6 O 1.94-2.10
Si: 0.3392 0.9610 0.9173  4 O 1.62-1.67
O: 0.4743 0.1648 0.5257  1 Si 1.68
Na: 0.9931 0.3599 0.7484  5 O 2.41-2.65
O: 0.7970 0.9786 0.6859  1 Si 1.66
Na: 0.3294 0.2959 0.9156  5 O 2.42-2.61
Na: 0.3292 0.6633 0.1650  6 O 2.48-2.57
O: 0.8426 0.8135 0.5865  1 Si 1.64
O: 0.9678 0.8129 0.0853  1 Si 1.66
O: 0.8171 0.8241 0.9144  1 Si 1.63
O: 0.1516 0.6625 0.0810  1 Si 1.63
O: 0.4854 0.3525 0.1438  1 Si 1.62
O: 0.0154 0.8342 0.6965  1 Si 1.68
Si: 0.9589 0.3320 0.5848  4 O 1.62-1.67
Si: 0.3733 0.0425 0.5846  4 O 1.62-1.68
Si: 0.2905 0.9978 0.2511  4 O 1.62-1.67
O: 0.8386 0.3126 0.5254  1 Si 1.67
O: 0.3505 0.8601 0.8571  1 Si 1.67
O: 0.9885 0.7941 0.8147  1 Si 1.62
Hf: 0.3302 0.6619 0.0218  6 O 1.99-2.14
O: 0.8453 0.5158 0.7478  1 Si 1.62
O: 0.8579 0.4852 0.4199  1 Si 1.65
O: 0.1667 0.9719 0.1921  1 Si 1.67
Hf: 0.9943 0.9968 0.3548  6 O 1.98-2.16
O: 0.1626 0.4763 0.9702  1 Si 1.62
O: 0.1739 0.9865 0.9146  1 Si 1.64
Na: 0.6640 0.6980 0.0813  6 O 2.43-2.63
O: 0.5078 0.1513 0.9191  1 Si 1.65
Nb: 0.3391 0.6686 0.8116  6 O 1.93-2.12
Na: 0.3292 0.6659 0.6650  6 O 2.48-2.57
Nb: 0.6690 0.3398 0.4782  6 O 1.92-2.11
Na: 0.3037 0.3393 0.5817  5 O 2.39-2.66
Si: 0.2905 0.2926 0.7511  4 O 1.62-1.67
O: 0.6312 0.1428 0.4196  1 Si 1.66
O: 0.0219 0.1916 0.9119  1 Si 1.62
O: 0.3179 0.4689 0.4760  1 Si 1.62
Si: 0.7058 0.9948 0.7478  4 O 1.62-1.66
O: 0.1307 0.4927 0.8535  1 Si 1.67
O: 0.6877 0.1600 0.0232  1 Si 1.67
O: 0.9678 0.1549 0.5853  1 Si 1.66

No. 2
Material: MgCr
Method: DFT, PBE
State: relaxed

Space group: P4/mmm (123)
Energy of formation from the pure elements in meV/atom: 589.0
Mass density in g/cm³: 3.38
M_tot in μB/atom: 1.95
Energy above the most stable polymorph in this dataset in eV/atom: 0.0137

a b c (Å): 3.1611 3.1611 3.7479
angles (deg): 90.00 90.00 90.00
With the nearest neighbours (Å) after each atom.
Sites, in units of the cell vectors:
Cr: 0.0000 0.0000 0.0000  8 Mg 2.92, 4 Cr 3.16
Mg: 0.5000 0.5000 0.5000  8 Cr 2.92, 4 Mg 3.16